(1)
Th2S3: relaxed, PBE.

The structure in POSCAR format:
```
Th2S3
1.0
3.939 0.000 0.000
0.000 10.879 0.000
0.000 0.000 10.893
Th S
8 12
Cartesian
2.954 10.746 7.579 Th
0.985 8.880 10.726 Th
0.985 5.306 8.761 Th
2.954 5.573 2.132 Th
2.954 1.999 0.167 Th
0.985 0.133 3.315 Th
2.954 3.440 5.614 Th
0.985 7.439 5.280 Th
2.954 6.788 10.324 S
0.985 4.091 0.569 S
0.985 7.650 2.421 S
2.954 3.229 8.473 S
2.954 6.051 6.808 S
2.954 10.267 1.362 S
0.985 4.828 4.085 S
0.985 1.349 6.015 S
0.985 8.669 7.867 S
2.954 2.210 3.026 S
0.985 0.612 9.532 S
2.954 9.530 4.878 S
```

Values from the calculation:
Space group: Pnma (62)
Final energy in eV per atom: -7.402
Formation energy in meV per atom: -2256

(2)
ThU2S5: relaxed, PBE.

The structure in POSCAR format:
```
ThU2S5
1.0
-2.179 1.184 6.990
3.503 -6.782 2.241
10.030 5.885 2.130
U S Th
8 20 4
Cartesian
1.781 -4.547 4.674 U
1.428 -1.176 8.340 U
7.437 1.227 6.219 U
9.583 4.816 6.693 U
8.177 4.849 1.902 U
7.561 -2.021 3.286 U
3.803 2.289 8.081 U
2.169 2.446 4.023 U
10.945 -0.377 8.733 S
3.637 0.346 2.420 S
5.572 -3.126 8.814 S
8.308 3.476 4.591 S
0.418 0.684 2.661 S
3.047 -3.188 6.770 S
6.646 -1.592 5.979 S
5.809 3.422 2.519 S
2.555 -5.037 1.948 S
1.520 0.409 5.914 S
7.717 -0.058 8.940 S
1.849 -2.123 3.548 S
4.710 1.877 5.383 S
6.318 3.470 7.677 S
9.833 -0.118 5.445 S
5.035 -3.179 3.683 S
8.801 5.322 9.414 S
7.222 0.626 3.468 S
4.103 -0.342 7.919 S
9.494 2.396 7.776 S
3.156 -4.569 9.448 Th
9.161 -2.165 7.337 Th
9.942 1.481 3.028 Th
3.937 -0.923 5.139 Th
```

Values from the calculation:
Space group: Pna2_1 (33)
Final energy in eV per atom: -7.935
Formation energy in meV per atom: -1915

(3)
Ti8S3: relaxed, PBE.

The structure in POSCAR format:
```
Ti8S3
1.0
1.668 12.498 0.000
-1.668 12.498 0.000
0.000 10.441 16.128
S Ti
12 32
Cartesian
0.000 27.250 8.507 S
0.000 9.331 4.519 S
0.000 3.185 2.844 S
0.000 29.452 11.055 S
0.000 22.112 0.526 S
0.000 13.324 15.603 S
0.000 22.739 13.045 S
0.000 12.697 3.083 S
0.000 26.105 11.609 S
0.000 8.186 7.621 S
0.000 32.251 13.284 S
0.000 5.984 5.073 S
0.000 1.172 1.429 Ti
0.000 12.126 12.859 Ti
0.000 19.591 0.660 Ti
0.000 16.683 4.486 Ti
0.000 20.991 9.442 Ti
0.000 11.399 0.907 Ti
0.000 24.037 15.222 Ti
0.000 26.425 4.524 Ti
0.000 18.753 11.642 Ti
0.000 16.470 9.230 Ti
0.000 9.011 11.604 Ti
0.000 18.967 6.898 Ti
0.000 19.198 15.029 Ti
0.000 15.845 15.468 Ti
0.000 26.730 14.074 Ti
0.000 23.311 3.269 Ti
0.000 15.425 12.088 Ti
0.000 20.011 4.041 Ti
0.000 22.056 6.338 Ti
0.000 5.696 2.487 Ti
0.000 10.526 8.595 Ti
0.000 8.706 2.054 Ti
0.000 29.148 6.856 Ti
0.000 11.766 5.475 Ti
0.000 29.740 13.641 Ti
0.000 16.239 1.099 Ti
0.000 13.380 9.790 Ti
0.000 24.910 7.533 Ti
0.000 34.264 14.699 Ti
0.000 14.445 6.686 Ti
0.000 23.671 10.653 Ti
0.000 6.288 9.273 Ti
```

Values from the calculation:
Space group: C2/m (12)
Final energy in eV per atom: -7.752
Formation energy in meV per atom: -1019

(4)
Ti9S10: relaxed, PBE.

The structure in POSCAR format:
```
Ti9S10
1.0
-9.034 0.000 0.000
-0.644 -9.096 0.000
3.873 2.289 10.941
S Ti
30 27
Cartesian
-7.737 -0.704 3.961 S
1.301 -5.397 10.269 S
-6.320 -2.742 8.218 S
-1.299 -5.843 8.076 S
-3.301 -2.942 7.171 S
-9.028 -7.219 1.496 S
-0.641 -2.612 9.283 S
-5.804 -7.451 0.424 S
-5.177 -0.272 6.133 S
-5.043 -4.113 1.639 S
-3.857 -6.316 5.889 S
-3.923 -2.306 10.274 S
-7.086 -6.082 7.002 S
-2.575 0.184 8.333 S
0.070 -3.425 5.946 S
-7.109 -1.409 0.692 S
-4.517 -5.651 9.176 S
-2.006 -4.318 0.629 S
3.228 0.408 9.432 S
0.639 -0.036 7.229 S
-1.926 -0.500 5.054 S
-5.934 -3.620 4.924 S
-1.282 -1.200 1.775 S
-4.526 -0.968 2.872 S
-0.661 -6.529 4.794 S
0.004 0.633 10.523 S
-2.628 -3.668 3.715 S
-3.232 -7.024 2.602 S
-6.446 -6.753 3.685 S
-8.333 -4.070 2.860 S
-7.725 -7.901 5.459 Ti
-3.231 0.169 1.098 Ti
-3.949 -2.205 5.017 Ti
1.284 1.822 8.762 Ti
-0.621 -2.371 3.911 Ti
1.912 -1.897 6.119 Ti
-9.000 -3.097 0.726 Ti
-1.283 1.375 6.581 Ti
-6.458 -2.596 2.828 Ti
-5.147 -4.451 7.015 Ti
-4.530 1.556 7.665 Ti
0.726 -4.151 8.116 Ti
-1.238 -1.752 7.146 Ti
-4.522 -5.133 3.733 Ti
-2.010 -4.588 5.898 Ti
-1.291 -8.407 3.278 Ti
-2.589 -3.980 9.212 Ti
3.863 2.260 10.933 Ti
-7.049 -5.515 1.478 Ti
-1.297 -5.351 2.654 Ti
-1.913 2.028 9.844 Ti
3.181 -3.708 10.366 Ti
-3.891 0.894 4.371 Ti
-3.856 -5.830 0.442 Ti
-7.084 -8.630 2.205 Ti
1.299 -1.250 9.398 Ti
-1.941 -1.032 10.494 Ti
```

Values from the calculation:
Space group: P1 (1)
Final energy in eV per atom: -7.329
Formation energy in meV per atom: -1677

(5)
Ti13S24: relaxed, PBE.

The structure in POSCAR format:
```
Ti13S24
1.0
7.364 1.940 -4.854
4.112 5.387 5.978
-0.177 -9.765 3.055
Ti S
13 24
Cartesian
11.303 0.858 3.127 Ti
5.742 0.387 1.502 Ti
2.056 2.693 2.989 Ti
5.010 2.901 3.804 Ti
4.879 -0.360 4.852 Ti
5.738 3.664 0.562 Ti
0.000 0.000 0.000 Ti
6.420 -2.078 -0.672 Ti
-0.005 -3.296 1.052 Ti
5.556 -2.825 2.678 Ti
6.493 1.114 -1.701 Ti
4.806 -3.551 5.881 Ti
6.288 -5.339 0.376 Ti
10.287 2.078 1.352 S
6.021 1.653 5.594 S
3.746 0.902 3.005 S
7.552 -3.340 1.175 S
6.730 -0.835 3.369 S
0.974 -7.736 3.850 S
10.236 -1.193 2.394 S
10.324 5.298 0.330 S
4.568 -1.603 0.810 S
7.682 3.187 -0.873 S
1.063 -1.245 1.786 S
5.278 -4.091 -1.415 S
5.242 -7.363 -0.401 S
3.617 -5.624 5.053 S
4.461 -4.856 1.834 S
6.838 2.418 2.346 S
5.921 -1.580 6.634 S
6.056 4.925 4.580 S
5.378 -0.857 -2.454 S
6.665 -4.092 4.395 S
3.699 -2.350 4.064 S
7.600 -0.088 0.115 S
1.012 -4.516 2.827 S
4.634 1.654 -0.215 S
```

Values from the calculation:
Space group: P-1 (2)
Final energy in eV per atom: -6.771
Formation energy in meV per atom: -1640

(6)
Ti3S2: relaxed, PBE.

The structure in POSCAR format:
```
Ti3S2
1.0
-3.982 1.162 -1.758
-3.101 -1.270 3.012
-1.252 3.758 2.147
Ti S
3 2
Cartesian
-3.065 2.033 -0.448 Ti
-3.396 -0.453 1.411 Ti
-1.872 2.070 2.437 Ti
-6.935 3.038 2.829 S
-1.399 0.613 0.571 S
```

Values from the calculation:
Space group: R32 (155)
Final energy in eV per atom: -7.333
Formation energy in meV per atom: -1142

(7)
Ti2S: relaxed, PBE.

The structure in POSCAR format:
```
Ti2S
1.0
3.325 0.000 0.000
0.000 11.364 0.000
0.000 0.000 14.034
Ti S
24 12
Cartesian
0.000 4.685 12.922 Ti
1.662 10.367 8.129 Ti
1.662 3.933 7.306 Ti
0.000 1.362 8.109 Ti
1.662 3.504 4.102 Ti
0.000 10.386 10.450 Ti
1.662 11.015 1.540 Ti
1.662 4.704 10.601 Ti
1.662 7.860 9.932 Ti
0.000 6.031 8.557 Ti
0.000 2.178 11.119 Ti
0.000 9.186 2.915 Ti
0.000 5.333 5.476 Ti
0.000 10.002 5.925 Ti
1.662 0.997 5.905 Ti
1.662 6.660 3.433 Ti
0.000 9.615 13.744 Ti
0.000 6.679 1.112 Ti
0.000 0.978 3.584 Ti
0.000 1.749 0.289 Ti
1.662 4.320 1.092 Ti
1.662 7.044 12.942 Ti
1.662 0.349 12.493 Ti
1.662 7.431 6.728 Ti
1.662 2.096 2.102 S
0.000 6.458 11.133 S
1.662 9.268 11.931 S
1.662 0.776 9.918 S
1.662 10.588 4.116 S
0.000 3.586 9.119 S
0.000 7.778 4.915 S
1.662 8.467 1.230 S
0.000 2.785 5.787 S
1.662 2.897 12.804 S
0.000 8.579 8.247 S
0.000 4.906 2.901 S
```

Values from the calculation:
Space group: Pnnm (58)
Final energy in eV per atom: -7.730
Formation energy in meV per atom: -1255

(8)
Ti5TlS8: relaxed, PBE.

The structure in POSCAR format:
```
Ti5TlS8
1.0
3.394 -0.086 -0.901
-0.431 8.518 -2.286
0.611 0.176 9.081
S Ti Tl
8 5 1
Cartesian
1.066 2.908 3.717 S
1.553 0.162 5.808 S
1.943 2.788 0.327 S
2.021 8.446 0.086 S
2.508 5.701 2.178 S
1.632 5.820 5.567 S
0.062 5.694 -0.216 S
3.512 2.914 6.110 S
0.593 7.267 1.682 Ti
0.511 4.263 1.639 Ti
1.482 4.216 -1.593 Ti
2.981 1.342 4.213 Ti
3.063 4.346 4.255 Ti
0.000 0.000 0.000 Tl
```

Values from the calculation:
Space group: P-1 (2)
Final energy in eV per atom: -6.665
Formation energy in meV per atom: -1600

(9)
TiTlV4S8: relaxed, PBE.

The structure in POSCAR format:
```
TiTlV4S8
1.0
0.000 3.307 0.000
-0.052 0.000 8.537
8.737 -1.654 -2.183
Ti S V Tl
1 8 4 1
Cartesian
-0.026 0.000 4.269 Ti
4.188 0.000 4.595 S
2.845 0.000 -0.706 S
5.840 1.654 7.060 S
4.497 1.654 1.759 S
7.353 0.000 0.907 S
1.511 0.000 2.348 S
7.174 1.654 4.006 S
1.332 1.654 5.447 S
2.661 1.654 3.540 V
5.035 0.000 -0.048 V
3.651 1.654 6.402 V
6.025 0.000 2.814 V
0.000 1.654 0.000 Tl
```

Values from the calculation:
Space group: C2/m (12)
Final energy in eV per atom: -6.668
Formation energy in meV per atom: -1264

(10)
U3TiS6: relaxed, PBE.

The structure in POSCAR format:
```
U3TiS6
1.0
3.700 0.000 0.000
0.000 10.324 0.000
0.000 0.000 10.495
S U Ti
12 6 2
Cartesian
1.850 6.483 8.452 S
1.850 8.063 5.797 S
1.850 2.901 4.698 S
0.000 0.651 6.638 S
0.000 2.259 9.914 S
0.000 5.813 3.857 S
0.000 8.972 3.223 S
0.000 7.421 0.580 S
1.850 4.657 1.227 S
0.000 3.810 7.271 S
1.850 9.819 9.268 S
1.850 1.321 2.043 S
1.850 0.160 4.592 U
1.850 5.323 5.903 U
0.000 3.262 2.703 U
0.000 8.424 7.792 U
0.000 10.157 0.777 U
0.000 4.995 9.718 U
1.850 6.955 2.295 Ti
1.850 1.793 8.199 Ti
```

Values from the calculation:
Space group: Pmc2_1 (26)
Final energy in eV per atom: -8.001
Formation energy in meV per atom: -1644

(11)
U8TiS17: relaxed, PBE.

The structure in POSCAR format:
```
U8TiS17
1.0
0.230 -5.373 -5.645
4.716 -6.050 1.390
-6.959 -6.684 3.795
S U Ti
17 8 1
Cartesian
-0.885 -4.270 0.154 S
-3.756 -8.497 1.577 S
-1.128 -13.838 -0.613 S
-0.515 -7.502 1.543 S
-2.260 -7.239 -1.193 S
-3.204 -11.515 0.934 S
1.742 -9.610 -2.037 S
-3.480 -3.342 1.897 S
3.037 -12.257 -3.117 S
1.539 -7.213 -4.730 S
0.246 -10.869 0.733 S
4.290 -7.628 -0.416 S
1.190 -6.593 -1.394 S
-6.303 -10.479 -0.043 S
-3.552 -10.895 4.271 S
-1.498 -10.605 -2.003 S
-5.050 -5.850 2.658 S
1.843 -8.557 0.573 U
0.747 -12.153 -1.647 U
-0.474 -8.208 -3.061 U
1.447 -3.724 -1.282 U
-3.857 -9.550 -1.032 U
-1.539 -9.900 2.601 U
-2.761 -5.954 1.187 U
-3.461 -14.383 0.822 U
0.000 0.000 0.000 Ti
```

Values from the calculation:
Space group: C2/m (12)
Final energy in eV per atom: -7.921
Formation energy in meV per atom: -1768

(12)
Ti3VS4: relaxed, PBE.

The structure in POSCAR format:
```
Ti3VS4
1.0
3.251 0.000 0.000
0.000 5.610 0.000
0.000 0.001 6.375
S V Ti
4 1 3
Cartesian
1.625 4.696 1.620 S
1.625 0.915 4.755 S
0.000 1.853 1.610 S
0.000 3.758 4.766 S
0.000 0.001 3.188 V
1.625 2.805 0.000 Ti
0.000 0.000 0.000 Ti
1.625 2.806 3.188 Ti
```

Values from the calculation:
Space group: P2/m (10)
Final energy in eV per atom: -7.448
Formation energy in meV per atom: -1535

Q: Which value of formation energy does entry 6 give?
A: -1142 meV per atom

Please write out number 9 again, unchanged.
TiTlV4S8: relaxed, PBE.

The structure in POSCAR format:
```
TiTlV4S8
1.0
0.000 3.307 0.000
-0.052 0.000 8.537
8.737 -1.654 -2.183
Ti S V Tl
1 8 4 1
Cartesian
-0.026 0.000 4.269 Ti
4.188 0.000 4.595 S
2.845 0.000 -0.706 S
5.840 1.654 7.060 S
4.497 1.654 1.759 S
7.353 0.000 0.907 S
1.511 0.000 2.348 S
7.174 1.654 4.006 S
1.332 1.654 5.447 S
2.661 1.654 3.540 V
5.035 0.000 -0.048 V
3.651 1.654 6.402 V
6.025 0.000 2.814 V
0.000 1.654 0.000 Tl
```

Values from the calculation:
Space group: C2/m (12)
Final energy in eV per atom: -6.668
Formation energy in meV per atom: -1264

Q: What is the formation energy in the ninth record?
A: -1264 meV per atom

Q: The lowest final energy belongs to which entry?
A: U3TiS6